The following is a PBE calculation of a relaxed TiO2 crystal, from Materials Project.

Calculated values
As for the formation energy: -3.350 eV per atom.

Cell: 2.9947 2.9947 20.9446 Å, 90.00 90.00 120.00°
Space group R-3m (No. 166, hexagonal axes)
One atom of each set of equivalent atoms:
Ti1 0.0000 0.0000 0.0000 [3 per cell]
O1 0.0000 0.0000 0.3795 [6 per cell]